[1]
First-principles (GGA-PBE) data for LaLuAl4 after structural relaxation, as listed in Materials Project.

Cell lengths 5.6371, 5.6371, 5.6371 Å; angles 60.00, 60.00, 60.00 degrees
With the nearest neighbours (Å) after each atom.
Fractional coordinates of all 6 atoms:
La 0.0000 0.0000 0.0000  12 Al 3.31, 4 Lu 3.45
Lu 0.2500 0.2500 0.2500  12 Al 3.30, 4 La 3.45
Al 0.1254 0.6249 0.6249  6 Al 2.82
Al 0.6249 0.1254 0.6249  6 Al 2.82
Al 0.6249 0.6249 0.1254  6 Al 2.82
Al 0.6249 0.6249 0.6249  6 Al 2.82

Summary:
- density (g cm⁻³) = 5.53
- energy of formation (kJ/mol of formula units) = -262
- space-group type = No. 216

---

[2]
First-principles (GGA-PBE) data for LaMg14Al after structural relaxation, as listed in Materials Project.

Cell lengths 10.3382, 6.5674, 6.5674 Å; angles 58.61, 90.00, 90.00 degrees
With the nearest neighbours (Å) after each atom.
Fractional coordinates of all 16 atoms:
La 0.0000 0.0000 0.0000  2 Al 3.22, 10 Mg 3.28-3.29
Mg 0.0000 0.0096 0.4936  1 Al 3.05, 8 Mg 3.11-3.32, 2 La 3.28-3.29
Mg 0.0000 0.4936 0.0096  1 Al 3.05, 8 Mg 3.11-3.32, 2 La 3.28-3.29
Mg 0.2363 0.6566 0.6566  11 Mg 3.15-3.33, 1 Al 3.17
Mg 0.2561 0.1646 0.6534  10 Mg 3.13-3.35, 1 Al 3.19, 1 La 3.29
Mg 0.2561 0.6534 0.1646  10 Mg 3.13-3.35, 1 Al 3.19, 1 La 3.29
Mg 0.2613 0.1638 0.1638  11 Mg 3.10-3.35, 1 La 3.29
Mg 0.5000 0.4958 0.4958  12 Mg 3.13-3.31
Mg 0.5000 0.4976 0.9906  12 Mg 3.10-3.31
Mg 0.5000 0.9906 0.4976  12 Mg 3.10-3.31
Mg 0.5000 0.9941 0.9941  12 Mg 3.14-3.30
Mg 0.7387 0.1638 0.1638  11 Mg 3.10-3.35, 1 La 3.29
Mg 0.7439 0.1646 0.6534  10 Mg 3.13-3.35, 1 Al 3.19, 1 La 3.29
Mg 0.7439 0.6534 0.1646  10 Mg 3.13-3.35, 1 Al 3.19, 1 La 3.29
Mg 0.7637 0.6566 0.6566  11 Mg 3.15-3.33, 1 Al 3.17
Al 0.0000 0.4807 0.4807  8 Mg 3.05-3.19, 2 La 3.22

Summary:
- density (g cm⁻³) = 2.21
- energy of formation (kJ/mol of formula units) = -6
- space-group type = No. 38

---

[3]
First-principles (GGA-PBE) data for LaMg6Al after structural relaxation, as listed in Materials Project.

Cell lengths 4.9113, 7.3427, 7.3427 Å; angles 49.37, 90.00, 90.00 degrees
With the nearest neighbours (Å) after each atom.
Fractional coordinates of all 8 atoms:
La 0.0000 0.0000 0.0000  2 Al 3.19, 8 Mg 3.31-3.56
Mg 0.0000 0.4961 0.9818  6 Mg 2.98-3.15, 1 Al 3.05
Mg 0.0000 0.9818 0.4961  6 Mg 2.98-3.15, 1 Al 3.05
Mg 0.5000 0.1255 0.6265  2 Al 3.00, 6 Mg 3.06-3.25, 2 La 3.33
Mg 0.5000 0.1667 0.1667  8 Mg 3.07-3.23, 2 La 3.31
Mg 0.5000 0.5906 0.5906  2 Al 3.22, 8 Mg 3.23-3.49
Mg 0.5000 0.6265 0.1255  2 Al 3.00, 6 Mg 3.06-3.25, 2 La 3.33
Al 0.0000 0.4345 0.4345  8 Mg 3.00-3.22, 2 La 3.19

Summary:
- density (g cm⁻³) = 2.58
- energy of formation (kJ/mol of formula units) = -12
- space-group type = No. 38

---

[4]
First-principles (GGA-PBE) data for LaMg6Al after structural relaxation, as listed in Materials Project.

Cell lengths 5.0651, 6.6984, 11.5717 Å; angles 90.00, 90.00, 90.00 degrees
With the nearest neighbours (Å) after each atom.
Fractional coordinates of all 16 atoms:
La 0.5000 0.5000 0.1736  2 Al 3.15, 10 Mg 3.27-3.42
La 0.5000 0.0000 0.6736  2 Al 3.15, 10 Mg 3.27-3.42
Mg 0.0000 0.2368 0.0784  7 Mg 3.13-3.35, 2 Al 3.23-3.45, 2 La 3.28
Mg 0.0000 0.7632 0.0784  7 Mg 3.13-3.35, 2 Al 3.23-3.45, 2 La 3.28
Mg 0.0000 0.5000 0.8327  10 Mg 3.20-3.35, 2 Al 3.35
Mg 0.5000 0.2409 0.9192  8 Mg 3.13-3.47, 2 Al 3.16, 2 La 3.27-3.42
Mg 0.5000 0.7591 0.9192  8 Mg 3.13-3.47, 2 Al 3.16, 2 La 3.27-3.42
Mg 0.5000 0.5000 0.6637  10 Mg 3.15-3.43, 2 La 3.35
Mg 0.0000 0.7368 0.5784  7 Mg 3.13-3.35, 2 Al 3.23-3.45, 2 La 3.28
Mg 0.0000 0.2632 0.5784  7 Mg 3.13-3.35, 2 Al 3.23-3.45, 2 La 3.28
Mg 0.0000 0.0000 0.3327  10 Mg 3.20-3.35, 2 Al 3.35
Mg 0.5000 0.7409 0.4192  8 Mg 3.13-3.47, 2 Al 3.16, 2 La 3.27-3.42
Mg 0.5000 0.2591 0.4192  8 Mg 3.13-3.47, 2 Al 3.16, 2 La 3.27-3.42
Mg 0.5000 0.0000 0.1637  10 Mg 3.15-3.43, 2 La 3.35
Al 0.0000 0.5000 0.3349  2 La 3.15, 10 Mg 3.16-3.45
Al 0.0000 0.0000 0.8349  2 La 3.15, 10 Mg 3.16-3.45

Summary:
- density (g cm⁻³) = 2.64
- energy of formation (kJ/mol of formula units) = 5